No. 1
# Na3Nb2Si3Ge2P3O24 | Materials Project | PBE-GGA | relaxed
data_Na3Nb2Si3Ge2P3O24
_chemical_formula_sum 'Na9 Nb6 Si9 Ge6 P9 O72'
_symmetry_space_group_name_H-M 'P 1'
_symmetry_Int_Tables_number 1
_symmetry_space_group_name_Hall 'P 1'
_cell_length_a 8.6895
_cell_length_b 8.6964
_cell_length_c 22.3166
_cell_angle_alpha 89.43
_cell_angle_beta 89.80
_cell_angle_gamma 60.10
loop_
_atom_site_label
_atom_site_type_symbol
_atom_site_fract_x
_atom_site_fract_y
_atom_site_fract_z
Na1 Na 0.0000 0.0000 0.0000
Na2 Na 0.0055 0.0029 0.5015
Na3 Na 0.0338 0.2997 0.9162
Na4 Na 0.3318 0.3328 0.3334
Na5 Na 0.3413 0.3331 0.8355
Na6 Na 0.6571 0.6664 0.1652
Na7 Na 0.6667 0.6570 0.6652
Na8 Na 0.6990 0.9685 0.5832
Na9 Na 0.9660 0.7001 0.0838
Nb1 Nb 0.0008 0.0005 0.3576
Nb2 Nb 0.3262 0.3349 0.1874
Nb3 Nb 0.3358 0.3345 0.6909
Nb4 Nb 0.3367 0.3291 0.4788
Nb5 Nb 0.6729 0.6715 0.3090
Nb6 Nb 0.6744 0.6642 0.8109
Si1 Si 0.0008 0.2716 0.7515
Si2 Si 0.0021 0.7230 0.2458
Si3 Si 0.0372 0.3281 0.0797
Si4 Si 0.2817 0.9966 0.2472
Si5 Si 0.6335 0.3389 0.5837
Si6 Si 0.6677 0.9453 0.4208
Si7 Si 0.7262 0.0000 0.7497
Si8 Si 0.9491 0.3836 0.4197
Si9 Si 0.9616 0.6723 0.9199
Ge1 Ge 0.0018 0.0066 0.1465
Ge2 Ge 0.3310 0.3341 0.9816
Ge3 Ge 0.6689 0.6658 0.0184
Ge4 Ge 0.6709 0.6561 0.5195
Ge5 Ge 0.9951 0.0072 0.6477
Ge6 Ge 0.9975 0.9947 0.8529
P1 P 0.0401 0.6285 0.5840
P2 P 0.2758 0.7257 0.7497
P3 P 0.3292 0.0366 0.5849
P4 P 0.3380 0.6242 0.0800
P5 P 0.3802 0.9536 0.9194
P6 P 0.3867 0.6675 0.4191
P7 P 0.6207 0.0454 0.0804
P8 P 0.6617 0.3766 0.9198
P9 P 0.7173 0.2828 0.2474
O1 O 0.0182 0.1535 0.0898
O2 O 0.0247 0.8129 0.5894
O3 O 0.0293 0.8061 0.3068
O4 O 0.0373 0.1609 0.8146
O5 O 0.1264 0.5092 0.6396
O6 O 0.1295 0.3721 0.1373
O7 O 0.1451 0.3647 0.4245
O8 O 0.1544 0.4862 0.9258
O9 O 0.1565 0.5387 0.5284
O10 O 0.1634 0.0186 0.5915
O11 O 0.1655 0.0351 0.3082
O12 O 0.1648 0.2951 0.0214
O13 O 0.1650 0.8054 0.0866
O14 O 0.1656 0.7994 0.8073
O15 O 0.1700 0.3051 0.7438
O16 O 0.1773 0.5247 0.2418
O17 O 0.1902 0.9803 0.9130
O18 O 0.1954 0.9647 0.1886
O19 O 0.1983 0.8351 0.6923
O20 O 0.1991 0.8309 0.4137
O21 O 0.2964 0.5377 0.0260
O22 O 0.2971 0.1569 0.5286
O23 O 0.2969 0.5373 0.7440
O24 O 0.3109 0.1692 0.2417
O25 O 0.3620 0.1413 0.9248
O26 O 0.3627 0.5028 0.4254
O27 O 0.3650 0.1264 0.6389
O28 O 0.3714 0.5077 0.1370
O29 O 0.4642 0.7002 0.7565
O30 O 0.4653 0.7012 0.4752
O31 O 0.4645 0.8338 0.9754
O32 O 0.4772 0.8223 0.2537
O33 O 0.4934 0.1444 0.4245
O34 O 0.4941 0.8684 0.8629
O35 O 0.4949 0.3578 0.9274
O36 O 0.4951 0.6353 0.3614
O37 O 0.5024 0.8581 0.5778
O38 O 0.5029 0.3656 0.6411
O39 O 0.5049 0.6425 0.0726
O40 O 0.5064 0.1305 0.1368
O41 O 0.5248 0.1726 0.7436
O42 O 0.5317 0.3017 0.2417
O43 O 0.5355 0.1663 0.0248
O44 O 0.5375 0.2965 0.5274
O45 O 0.6285 0.4928 0.8629
O46 O 0.6327 0.8639 0.3599
O47 O 0.6382 0.8583 0.0753
O48 O 0.6404 0.5206 0.5771
O49 O 0.6927 0.8297 0.7571
O50 O 0.6952 0.4686 0.2540
O51 O 0.6954 0.8316 0.4817
O52 O 0.7035 0.4621 0.9741
O53 O 0.7965 0.1717 0.3052
O54 O 0.8046 0.0369 0.8097
O55 O 0.8100 0.0194 0.0870
O56 O 0.8226 0.1526 0.5897
O57 O 0.8241 0.4716 0.7580
O58 O 0.8284 0.4662 0.4782
O59 O 0.8302 0.6941 0.2517
O60 O 0.8310 0.2026 0.1914
O61 O 0.8347 0.1946 0.9132
O62 O 0.8354 0.7049 0.9787
O63 O 0.8366 0.9594 0.6874
O64 O 0.8407 0.9684 0.4138
O65 O 0.8448 0.5142 0.0742
O66 O 0.8516 0.6519 0.5786
O67 O 0.8641 0.4989 0.3585
O68 O 0.8690 0.6285 0.8623
O69 O 0.9645 0.8387 0.1845
O70 O 0.9649 0.1941 0.6913
O71 O 0.9742 0.1864 0.4132
O72 O 0.9812 0.8470 0.9096
# E (MP2020) (eV per atom): -7.740
# Raw total energy (eV/atom): -7.29
# Crystal system: triclinic
# Energy of formation (eV per atom): -2.75

---

No. 2
# SiO2 | Materials Project | PBE-GGA | relaxed
data_SiO2
_chemical_formula_sum 'Si56 O112'
_symmetry_space_group_name_H-M 'P m n a'
_symmetry_Int_Tables_number 53
_symmetry_space_group_name_Hall '-P 2ac 2'
_cell_length_a 8.5502
_cell_length_b 12.5676
_cell_length_c 29.3192
_cell_angle_alpha 90.00
_cell_angle_beta 90.00
_cell_angle_gamma 90.00
loop_
_atom_site_label
_atom_site_type_symbol
_atom_site_fract_x
_atom_site_fract_y
_atom_site_fract_z
Si1 Si 0.1821 0.1856 0.0591
Si2 Si 0.1822 0.2067 0.5380
Si3 Si 0.1844 0.3831 0.3890
Si4 Si 0.1855 0.0387 0.8923
Si5 Si 0.1860 0.4400 0.9533
Si6 Si 0.1884 0.0360 0.2995
Si7 Si 0.1890 0.2773 0.2012
O1 O 0.0000 0.0266 0.3016
O2 O 0.0000 0.0628 0.8967
O3 O 0.0000 0.1948 0.5233
O4 O 0.0000 0.2165 0.0689
O5 O 0.0000 0.2700 0.2016
O6 O 0.0000 0.4110 0.3849
O7 O 0.0000 0.4144 0.9552
O8 O 0.2067 0.2809 0.4225
O9 O 0.2078 0.1701 0.0046
O10 O 0.2174 0.1309 0.5816
O11 O 0.2182 0.3295 0.5517
O12 O 0.2235 0.4852 0.0905
O13 O 0.2272 0.0763 0.0853
O14 O 0.2353 0.0386 0.8388
O15 O 0.2393 0.1593 0.3079
O16 O 0.2401 0.5000 0.0000
O17 O 0.2454 0.3574 0.1613
O18 O 0.2500 0.0047 0.7500
O19 O 0.2500 0.3227 0.2500
# E (MP2020) (eV per atom): -8.363
# Raw total energy (eV/atom): -7.91
# Crystal system: orthorhombic
# Energy of formation (eV per atom): -3.26

---

No. 3
# BaTe3 | Materials Project | PBE-GGA | relaxed
data_BaTe3
_chemical_formula_sum 'Ba2 Te6'
_symmetry_space_group_name_H-M 'P -4 21 m'
_symmetry_Int_Tables_number 113
_symmetry_space_group_name_Hall 'P -4 2ab'
_cell_length_a 8.0880
_cell_length_b 8.0880
_cell_length_c 4.4142
_cell_angle_alpha 90.00
_cell_angle_beta 90.00
_cell_angle_gamma 90.00
loop_
_atom_site_label
_atom_site_type_symbol
_atom_site_fract_x
_atom_site_fract_y
_atom_site_fract_z
Ba1 Ba 0.0000 0.0000 0.0000
Te1 Te 0.0000 0.5000 0.1075
Te2 Te 0.1974 0.6974 0.5031
# E (MP2020) (eV per atom): -4.039
# Maximum piezoelectric response (C/m2): 0.3
# Raw total energy (eV/atom): -3.72
# Crystal system: tetragonal
# Energy of formation (eV per atom): -1.20

---

No. 4
# KS | Materials Project | PBE-GGA | relaxed
data_KS
_chemical_formula_sum 'K4 S4'
_symmetry_space_group_name_H-M 'F m -3 m'
_symmetry_Int_Tables_number 225
_symmetry_space_group_name_Hall '-F 4 2 3'
_cell_length_a 6.5110
_cell_length_b 6.5110
_cell_length_c 6.5110
_cell_angle_alpha 90.00
_cell_angle_beta 90.00
_cell_angle_gamma 90.00
loop_
_atom_site_label
_atom_site_type_symbol
_atom_site_fract_x
_atom_site_fract_y
_atom_site_fract_z
K1 K 0.0000 0.0000 0.0000
S1 S 0.0000 0.0000 0.5000
# E (MP2020) (eV per atom): -3.220
# Raw total energy (eV/atom): -2.97
# Crystal system: cubic
# Energy of formation (eV per atom): -0.60

---

No. 5
# Mg4Ta2O9 | Materials Project | PBE-GGA | relaxed
data_Mg4Ta2O9
_chemical_formula_sum 'Mg8 Ta4 O18'
_symmetry_space_group_name_H-M 'P -3 c 1'
_symmetry_Int_Tables_number 165
_symmetry_space_group_name_Hall '-P 3 2"c'
_cell_length_a 5.2120
_cell_length_b 5.2120
_cell_length_c 14.1867
_cell_angle_alpha 90.00
_cell_angle_beta 90.00
_cell_angle_gamma 120.00
loop_
_atom_site_label
_atom_site_type_symbol
_atom_site_fract_x
_atom_site_fract_y
_atom_site_fract_z
Mg1 Mg 0.3333 0.6667 0.0165
Mg2 Mg 0.3333 0.6667 0.3089
Ta1 Ta 0.0000 0.0000 0.1429
O1 O 0.0000 0.2881 0.2500
O2 O 0.0288 0.3459 0.9153
# E (MP2020) (eV per atom): -8.226
# Raw total energy (eV/atom): -7.81
# Crystal system: trigonal
# Energy of formation (eV per atom): -3.25

---

No. 6
# SmS2NO12 | Materials Project | PBE-GGA | relaxed
data_SmS2NO12
_chemical_formula_sum 'Sm4 S8 N4 O48'
_symmetry_space_group_name_H-M 'P 1 21/c 1'
_symmetry_Int_Tables_number 14
_symmetry_space_group_name_Hall '-P 2ybc'
_cell_length_a 5.9400
_cell_length_b 22.4763
_cell_length_c 10.2543
_cell_angle_alpha 90.00
_cell_angle_beta 92.01
_cell_angle_gamma 90.00
loop_
_atom_site_label
_atom_site_type_symbol
_atom_site_fract_x
_atom_site_fract_y
_atom_site_fract_z
Sm1 Sm 0.1898 0.0777 0.2438
S1 S 0.1202 0.2233 0.8633
S2 S 0.3092 0.5932 0.2364
N1 N 0.3475 0.7199 0.8801
O1 O 0.0659 0.7355 0.1398
O2 O 0.0809 0.1609 0.8471
O3 O 0.1497 0.5760 0.1262
O4 O 0.1640 0.6180 0.3392
O5 O 0.1835 0.0618 0.0396
O6 O 0.1998 0.0599 0.6044
O7 O 0.2161 0.5420 0.7675
O8 O 0.2393 0.1084 0.5540
O9 O 0.3079 0.5782 0.6968
O10 O 0.3454 0.2457 0.8825
O11 O 0.4372 0.5395 0.2828
O12 O 0.4866 0.6367 0.1979
# E (MP2020) (eV per atom): -5.731
# Raw total energy (eV/atom): -5.61
# Crystal system: monoclinic
# Energy of formation (eV per atom): -0.69